# 1
A plane-wave DFT calculation with PBE was carried out for an optimized crystal structure of Sr8Mn2FeN8.

a = 9.8052 Å, b = 9.8052 Å, c = 7.5648 Å
α = 105.55°, β = 105.55°, γ = 31.59°
With the nearest neighbours (Å) after each atom.
Element x y z (fractional)
Sr: 0.0291 0.0291 0.2586  5 N 2.67-2.82
Sr: 0.1993 0.1993 0.8065  5 N 2.64-2.79
Sr: 0.3329 0.3329 0.5334  5 N 2.64-2.81
Sr: 0.4038 0.4038 0.0343  3 N 2.53-2.70
Sr: 0.5962 0.5962 0.9657  3 N 2.53-2.70
Sr: 0.6671 0.6671 0.4666  5 N 2.64-2.81
Sr: 0.8007 0.8007 0.1935  5 N 2.64-2.79
Sr: 0.9709 0.9709 0.7414  5 N 2.67-2.82
Mn: 0.1878 0.1878 0.2063  3 N 1.73-1.78
Mn: 0.8122 0.8122 0.7937  3 N 1.73-1.78
Fe: 0.5000 0.5000 0.5000  2 N 1.84
N: 0.1078 0.1078 0.0150  1 Mn 1.78
N: 0.1778 0.1778 0.4264  1 Mn 1.73
N: 0.2757 0.2757 0.1720  1 Mn 1.75
N: 0.4746 0.4746 0.7175  1 Fe 1.84
N: 0.5254 0.5254 0.2825  1 Fe 1.84
N: 0.7243 0.7243 0.8280  1 Mn 1.75
N: 0.8222 0.8222 0.5736  1 Mn 1.73
N: 0.8922 0.8922 0.9850  1 Mn 1.78

Final energy ... -120.17 eV/cell
E_form ... -0.845 eV/atom


# 2
A plane-wave DFT calculation with PBE was carried out for an optimized crystal structure of Ga2Se2O7.

a = 6.6865 Å, b = 12.8679 Å, c = 13.5711 Å
α = 90.00°, β = 90.00°, γ = 90.00°
With the nearest neighbours (Å) after each atom.
Element x y z (fractional)
Ga: 0.0233 0.1223 0.0269  6 O 1.94-2.12
Ga: 0.0233 0.3777 0.5269  6 O 1.94-2.12
Ga: 0.2500 0.2500 0.2034  4 O 1.84-1.90
Ga: 0.2500 0.2500 0.7034  4 O 1.84-1.90
Ga: 0.2500 0.7500 0.3311  4 O 1.90-2.02
Ga: 0.2500 0.7500 0.8311  4 O 1.90-2.02
Ga: 0.4767 0.1223 0.5269  6 O 1.94-2.12
Ga: 0.4767 0.3777 0.0269  6 O 1.94-2.12
Ga: 0.5233 0.6223 0.9731  6 O 1.94-2.12
Ga: 0.5233 0.8777 0.4731  6 O 1.94-2.12
Ga: 0.7500 0.2500 0.1689  4 O 1.90-2.02
Ga: 0.7500 0.2500 0.6689  4 O 1.90-2.02
Ga: 0.7500 0.7500 0.2966  4 O 1.84-1.90
Ga: 0.7500 0.7500 0.7966  4 O 1.84-1.90
Ga: 0.9767 0.6223 0.4731  6 O 1.94-2.12
Ga: 0.9767 0.8777 0.9731  6 O 1.94-2.12
Se: 0.0071 0.5523 0.7183  3 O 1.71-1.79
Se: 0.0071 0.9477 0.2183  3 O 1.71-1.79
Se: 0.0175 0.6341 0.0354  3 O 1.71-1.77
Se: 0.0175 0.8659 0.5354  3 O 1.71-1.77
Se: 0.4825 0.6341 0.5354  3 O 1.71-1.77
Se: 0.4825 0.8659 0.0354  3 O 1.71-1.77
Se: 0.4929 0.5523 0.2183  3 O 1.71-1.79
Se: 0.4929 0.9477 0.7183  3 O 1.71-1.79
Se: 0.5071 0.0523 0.2817  3 O 1.71-1.79
Se: 0.5071 0.4477 0.7817  3 O 1.71-1.79
Se: 0.5175 0.1341 0.9646  3 O 1.71-1.77
Se: 0.5175 0.3659 0.4646  3 O 1.71-1.77
Se: 0.9825 0.1341 0.4646  3 O 1.71-1.77
Se: 0.9825 0.3659 0.9646  3 O 1.71-1.77
Se: 0.9929 0.0523 0.7817  3 O 1.71-1.79
Se: 0.9929 0.4477 0.2817  3 O 1.71-1.79
O: 0.0117 0.5244 0.5893  1 Se 1.79
O: 0.0117 0.9756 0.0893  1 Se 1.79
O: 0.0127 0.2377 0.9354  1 Se 1.71
O: 0.0127 0.2623 0.4354  1 Se 1.71
O: 0.0154 0.2033 0.1476  3 Ga 1.84-1.94
O: 0.0154 0.2967 0.6476  3 Ga 1.84-1.94
O: 0.1800 0.1086 0.5447  1 Se 1.74
O: 0.1800 0.3914 0.0447  1 Se 1.74
O: 0.1997 0.6388 0.7295  1 Se 1.71
O: 0.1997 0.8612 0.2295  1 Se 1.71
O: 0.2066 0.1285 0.7803  1 Se 1.73, 1 Ga 1.90
O: 0.2066 0.3715 0.2803  1 Se 1.73, 1 Ga 1.90
O: 0.2116 0.6341 0.9465  1 Se 1.77
O: 0.2116 0.8659 0.4465  1 Se 1.77
O: 0.2884 0.6341 0.4465  1 Se 1.77
O: 0.2884 0.8659 0.9465  1 Se 1.77
O: 0.2934 0.1285 0.2803  1 Se 1.73, 1 Ga 1.90
O: 0.2934 0.3715 0.7803  1 Se 1.73, 1 Ga 1.90
O: 0.3003 0.6388 0.2295  1 Se 1.71
O: 0.3003 0.8612 0.7295  1 Se 1.71
O: 0.3200 0.1086 0.0447  1 Se 1.74
O: 0.3200 0.3914 0.5447  1 Se 1.74
O: 0.4846 0.2033 0.6476  3 Ga 1.84-1.94
O: 0.4846 0.2967 0.1476  3 Ga 1.84-1.94
O: 0.4873 0.2377 0.4354  1 Se 1.71
O: 0.4873 0.2623 0.9354  1 Se 1.71
O: 0.4883 0.5244 0.0893  1 Se 1.79
O: 0.4883 0.9756 0.5893  1 Se 1.79
O: 0.5117 0.0244 0.4107  1 Se 1.79
O: 0.5117 0.4756 0.9107  1 Se 1.79
O: 0.5127 0.7377 0.0646  1 Se 1.71
O: 0.5127 0.7623 0.5646  1 Se 1.71
O: 0.5154 0.7033 0.8524  3 Ga 1.84-1.94
O: 0.5154 0.7967 0.3524  3 Ga 1.84-1.94
O: 0.6800 0.6086 0.4553  1 Se 1.74
O: 0.6800 0.8914 0.9553  1 Se 1.74
O: 0.6997 0.1388 0.2705  1 Se 1.71
O: 0.6997 0.3612 0.7705  1 Se 1.71
O: 0.7066 0.6285 0.2197  1 Se 1.73, 1 Ga 1.90
O: 0.7066 0.8715 0.7197  1 Se 1.73, 1 Ga 1.90
O: 0.7116 0.1341 0.0535  1 Se 1.77
O: 0.7116 0.3659 0.5535  1 Se 1.77
O: 0.7884 0.1341 0.5535  1 Se 1.77
O: 0.7884 0.3659 0.0535  1 Se 1.77
O: 0.7934 0.6285 0.7197  1 Se 1.73, 1 Ga 1.90
O: 0.7934 0.8715 0.2197  1 Se 1.73, 1 Ga 1.90
O: 0.8003 0.1388 0.7705  1 Se 1.71
O: 0.8003 0.3612 0.2705  1 Se 1.71
O: 0.8200 0.6086 0.9553  1 Se 1.74
O: 0.8200 0.8914 0.4553  1 Se 1.74
O: 0.9846 0.7033 0.3524  3 Ga 1.84-1.94
O: 0.9846 0.7967 0.8524  3 Ga 1.84-1.94
O: 0.9873 0.7377 0.5646  1 Se 1.71
O: 0.9873 0.7623 0.0646  1 Se 1.71
O: 0.9883 0.0244 0.9107  1 Se 1.79
O: 0.9883 0.4756 0.4107  1 Se 1.79

Final energy ... -491.85 eV/cell
E_form ... -1.691 eV/atom


# 3
A plane-wave DFT calculation with PBE was carried out for an optimized crystal structure of NaYTiNbO6F.

a = 7.3110 Å, b = 7.3110 Å, c = 7.3110 Å
α = 121.65°, β = 117.98°, γ = 90.35°
With the nearest neighbours (Å) after each atom.
Element x y z (fractional)
Na: 0.5000 0.0000 0.0000  2 F 2.25
Na: 0.5000 0.5000 0.5000  2 F 2.25
Y: 0.0000 0.0000 0.0000  2 F 2.24, 4 O 2.46
Y: 0.5000 0.0000 0.5000  2 F 2.24, 4 O 2.46
Ti: 0.0000 0.0000 0.5000  6 O 1.96-1.98
Ti: 0.0000 0.5000 0.0000  6 O 1.96-1.98
Nb: 0.0000 0.5000 0.5000  6 O 2.00-2.01
Nb: 0.5000 0.5000 0.0000  6 O 2.00-2.01
O: 0.0642 0.4117 0.2321  1 Ti 1.98, 1 Nb 2.00
O: 0.0642 0.8321 0.6526  1 Ti 1.98, 1 Nb 2.00
O: 0.0793 0.8293 0.2500  2 Ti 1.96
O: 0.3187 0.5687 0.7500  2 Nb 2.01
O: 0.3205 0.1679 0.7321  1 Ti 1.98, 1 Nb 2.00
O: 0.3205 0.5883 0.1526  1 Ti 1.98, 1 Nb 2.00
O: 0.6795 0.4117 0.8474  1 Ti 1.98, 1 Nb 2.00
O: 0.6795 0.8321 0.2679  1 Ti 1.98, 1 Nb 2.00
O: 0.6813 0.4313 0.2500  2 Nb 2.01
O: 0.9207 0.1707 0.7500  2 Ti 1.96
O: 0.9358 0.1679 0.3474  1 Ti 1.98, 1 Nb 2.00
O: 0.9358 0.5883 0.7679  1 Ti 1.98, 1 Nb 2.00
F: 0.3672 0.1172 0.2500  2 Y 2.24, 2 Na 2.25
F: 0.6328 0.8828 0.7500  2 Y 2.24, 2 Na 2.25

Final energy ... -179.66 eV/cell
Distance to the lowest polymorph of the same formula ... 6 meV per atom
E_form ... -3.366 eV/atom


# 4
A plane-wave DFT calculation with PBE was carried out for an optimized crystal structure of Gd2CdPd2.

a = 7.7849 Å, b = 7.7849 Å, c = 3.7894 Å
α = 90.00°, β = 90.00°, γ = 90.00°
With the nearest neighbours (Å) after each atom.
Element x y z (fractional)
Gd: 0.1724 0.3276 0.0000  6 Pd 2.89-3.03
Gd: 0.3276 0.8276 0.0000  6 Pd 2.89-3.03
Gd: 0.6724 0.1724 0.0000  6 Pd 2.89-3.03
Gd: 0.8276 0.6724 0.0000  6 Pd 2.89-3.03
Cd: 0.0000 0.0000 0.5000  4 Pd 3.06
Cd: 0.5000 0.5000 0.5000  4 Pd 3.06
Pd: 0.1289 0.6289 0.5000  1 Pd 2.84, 6 Gd 2.89-3.03, 2 Cd 3.06
Pd: 0.3711 0.1289 0.5000  1 Pd 2.84, 6 Gd 2.89-3.03, 2 Cd 3.06
Pd: 0.6289 0.8711 0.5000  1 Pd 2.84, 6 Gd 2.89-3.03, 2 Cd 3.06
Pd: 0.8711 0.3711 0.5000  1 Pd 2.84, 6 Gd 2.89-3.03, 2 Cd 3.06

Final energy ... -86.70 eV/cell
E_form ... -0.783 eV/atom


- E_form of number 1 (Sr8Mn2FeN8)?
  -0.845 eV/atom